Record 1
First-principles (GGA-PBE) data for a relaxed structure of Na18Ta8Zn16Si9S27O144, as listed in the Materials Project.

extended XYZ file:
```
222
Lattice="8.895 0.000 0.000 -0.023 15.322 0.000 -0.019 -0.199 22.588" Properties=species:S:1:pos:R:3 pbc="T T T"
Na 0.000 0.000 0.000
Na 8.879 5.220 7.624
Na 0.041 10.381 3.874
Na 0.038 15.205 11.461
Na 0.056 5.071 19.006
Na 1.070 12.722 13.322
Na 1.625 7.966 13.308
Na 2.851 0.408 1.944
Na 3.393 5.156 1.941
Na 4.404 12.770 7.642
Na 4.435 2.643 15.295
Na 4.455 12.748 18.944
Na 4.483 7.561 11.321
Na 4.533 7.662 0.039
Na 4.670 2.685 3.817
Na 6.170 0.173 13.519
Na 7.231 7.971 1.971
Na 8.684 10.268 15.222
Ta 0.122 10.239 7.397
Ta 4.364 2.471 18.730
Ta 4.480 12.736 11.075
Ta 4.482 12.694 22.282
Ta 4.520 2.648 7.325
Ta 8.824 5.077 22.297
Ta 8.820 10.136 18.701
Ta 8.864 5.155 10.995
Zn -0.014 10.356 11.819
Zn 0.004 5.033 15.744
Zn 0.056 15.206 8.140
Zn 0.084 15.142 19.557
Zn 4.393 7.602 8.272
Zn 4.446 2.681 11.912
Zn 4.450 12.798 4.394
Zn 4.500 2.782 0.533
Zn 4.517 7.448 19.571
Zn 4.527 7.577 15.079
Zn 4.566 7.688 3.559
Zn 4.576 12.711 15.745
Zn 8.802 5.164 4.315
Zn 8.803 10.375 0.455
Zn 8.830 -0.125 14.979
Zn 8.848 0.029 3.627
Si 1.302 12.589 9.745
Si 1.372 8.069 9.806
Si 3.106 0.297 21.105
Si 3.122 4.789 21.060
Si 5.725 4.858 9.744
Si 6.269 5.119 2.206
Si 7.108 12.695 13.489
Si 7.524 7.929 21.061
Si 7.647 12.439 21.034
S 1.253 2.927 2.195
S 1.300 2.173 17.173
S 1.319 7.453 2.157
S 1.367 12.969 17.148
S 1.840 7.624 17.147
S 1.886 2.546 9.687
S 1.872 12.822 2.175
S 2.582 5.069 13.466
S 2.565 10.127 20.981
S 2.663 0.036 5.873
S 3.090 5.439 5.883
S 3.191 9.937 5.889
S 3.174 15.029 13.406
S 3.226 10.499 13.479
S 5.754 0.340 9.693
S 5.736 9.836 17.227
S 5.744 10.644 2.178
S 5.783 15.036 2.178
S 5.790 5.312 17.170
S 6.278 -0.013 17.200
S 6.323 10.238 9.647
S 7.041 2.460 20.946
S 7.085 7.738 5.921
S 7.567 7.280 13.475
S 7.563 13.100 5.893
S 7.627 2.867 13.439
S 7.656 2.249 5.971
O 0.612 1.571 2.250
O 0.597 8.781 8.466
O 0.623 6.528 9.888
O 0.696 8.781 2.018
O 0.726 3.630 0.971
O 0.708 14.055 9.516
O 0.745 6.811 3.353
O 0.730 11.579 17.331
O 0.763 1.549 18.372
O 0.776 11.980 11.116
O 0.793 3.566 17.059
O 0.779 13.495 15.880
O 0.920 6.457 17.051
O 0.949 1.467 9.440
O 0.963 8.882 17.307
O 0.962 11.552 8.431
O 0.988 8.796 11.171
O 1.017 6.567 0.923
O 1.042 3.743 3.406
O 1.030 11.634 2.038
O 1.078 13.796 18.314
O 1.088 14.106 2.207
O 1.115 1.388 15.932
O 1.111 3.854 9.810
O 1.453 4.708 21.151
O 1.559 0.115 20.833
O 1.614 10.071 6.047
O 1.645 5.188 5.771
O 1.668 5.215 12.238
O 1.683 10.408 19.765
O 1.706 15.118 13.431
O 1.753 4.938 14.667
O 1.766 10.333 13.349
O 1.793 9.932 22.195
O 1.794 15.204 7.055
O 1.914 0.313 4.626
O 2.582 7.844 15.857
O 2.671 2.302 10.889
O 2.686 12.697 3.396
O 2.726 2.740 2.107
O 2.714 7.484 18.299
O 2.795 2.770 8.476
O 2.796 7.510 2.197
O 2.804 12.997 0.968
O 2.835 12.782 17.031
O 2.865 2.306 17.323
O 2.920 7.875 9.542
O 2.993 12.607 9.812
O 3.368 9.144 4.662
O 3.385 6.217 7.075
O 3.377 6.334 13.482
O 3.382 11.426 21.107
O 3.425 3.865 13.351
O 3.456 11.349 14.642
O 3.485 1.030 22.465
O 3.470 9.039 20.719
O 3.472 14.124 12.172
O 3.494 3.757 19.731
O 3.556 1.282 6.104
O 3.555 14.200 5.771
O 3.593 6.273 20.774
O 3.683 11.331 5.779
O 3.712 5.923 4.644
O 3.714 9.322 7.101
O 3.754 3.997 6.101
O 3.739 4.202 22.399
O 3.757 11.246 12.211
O 3.751 14.410 14.598
O 3.868 1.017 13.203
O 3.837 14.086 21.193
O 3.882 0.994 19.757
O 3.891 9.178 13.482
O 5.073 9.319 2.181
O 5.059 14.291 9.739
O 5.088 1.024 8.499
O 5.106 4.161 11.011
O 5.160 3.921 17.329
O 5.184 1.033 2.045
O 5.178 5.852 15.923
O 5.181 14.392 3.359
O 5.201 11.374 0.956
O 5.197 11.208 17.168
O 5.215 9.146 18.389
O 5.292 3.844 2.038
O 5.281 6.349 9.490
O 5.319 14.159 17.142
O 5.393 6.536 2.167
O 5.412 1.253 17.347
O 5.407 9.144 9.422
O 5.424 3.846 8.397
O 5.430 14.184 0.934
O 5.472 1.051 10.939
O 5.474 11.426 3.389
O 5.470 11.531 9.758
O 5.526 6.122 18.349
O 5.580 9.095 15.950
O 5.945 12.380 21.156
O 5.975 7.798 20.804
O 6.036 12.926 12.134
O 6.068 2.366 6.127
O 6.096 7.337 13.496
O 6.100 12.906 5.762
O 6.139 2.719 19.737
O 6.154 2.635 13.323
O 6.145 12.583 14.741
O 6.205 7.594 7.077
O 6.276 2.255 22.159
O 6.364 7.970 4.644
O 6.987 0.206 15.898
O 7.076 10.050 10.873
O 7.133 4.959 3.535
O 7.177 -0.147 18.331
O 7.184 0.198 9.480
O 7.200 10.512 8.450
O 7.212 10.456 2.094
O 7.259 5.131 17.047
O 7.258 15.096 2.206
O 7.302 9.975 17.356
O 7.345 5.339 0.889
O 7.421 4.814 9.839
O 7.801 1.490 4.723
O 7.793 13.901 7.102
O 7.858 3.672 14.639
O 7.852 3.749 21.036
O 7.870 8.604 22.465
O 7.930 6.423 12.209
O 7.938 1.360 20.691
O 7.945 9.021 6.097
O 7.936 11.433 19.692
O 7.995 14.108 13.467
O 8.036 6.603 5.855
O 8.041 13.942 20.756
O 8.075 11.407 13.342
O 8.144 1.562 7.165
O 8.166 3.619 5.920
O 8.167 3.599 12.214
O 8.182 6.614 14.630
O 8.197 8.595 13.329
O 8.197 13.667 4.680
O 8.205 11.713 6.067
O 8.304 1.549 13.459
O 8.293 11.836 22.342
O 8.304 6.428 21.082
O 8.316 8.683 19.749
```

Summary:
M_tot ... 0.00 μB/f.u.
ΔE_f ... -2242 meV/atom

Record 2
First-principles (GGA-PBE) data for a relaxed structure of Na7TaZn3Si3S3O24, as listed in the Materials Project.

extended XYZ file:
```
123
Lattice="9.108 0.000 0.000 4.519 7.957 0.000 0.076 0.244 22.166" Properties=species:S:1:pos:R:3 pbc="T T T"
Na 0.000 0.000 0.000
Na 1.202 2.122 10.907
Na 2.954 4.994 16.561
Na 2.975 4.976 5.754
Na 4.381 7.442 7.344
Na 1.739 2.739 18.296
Na 4.340 2.597 7.330
Na 5.868 5.147 18.428
Na 4.672 2.860 14.890
Na 7.477 7.665 9.243
Na 7.737 7.828 20.331
Na 6.390 5.008 10.928
Na 4.811 2.110 22.132
Na 8.760 5.227 21.899
Na 10.424 8.051 10.780
Na 7.348 2.189 2.023
Na 7.589 2.543 12.937
Na 10.459 7.541 18.687
Na 9.203 5.097 7.362
Na 9.149 4.673 14.747
Na 13.310 7.810 14.606
Ta 2.925 5.024 2.327
Ta 7.505 7.796 5.925
Ta 7.491 7.785 16.929
Zn 2.915 5.002 8.668
Zn 3.051 4.952 13.350
Zn 7.303 7.762 12.723
Zn 7.810 7.689 1.571
Zn 7.303 2.343 5.322
Zn 7.504 2.749 16.214
Zn 7.364 2.517 20.443
Zn 7.474 2.430 8.841
Zn 11.953 5.126 19.826
Si 1.551 2.176 14.627
Si 6.153 5.402 14.601
Si 4.388 2.082 3.524
Si 6.140 4.785 7.352
Si 4.805 2.474 18.403
Si 8.874 4.866 18.426
Si 10.705 7.954 7.344
Si 10.781 7.536 22.029
Si 10.129 2.388 7.304
S 4.265 7.403 11.070
S 1.678 2.877 22.150
S 4.852 7.604 3.504
S 5.620 5.228 22.127
S 4.339 2.668 11.069
S 10.155 7.752 14.675
S 8.836 5.284 3.566
S 9.415 5.102 11.097
S 13.478 8.105 18.384
O 3.806 6.713 12.316
O 2.041 3.535 1.124
O 3.893 6.715 18.506
O 2.144 3.554 7.444
O 3.896 6.628 9.871
O 2.280 3.638 14.727
O 2.248 3.403 20.889
O 3.971 6.305 3.473
O 1.837 1.356 13.264
O 5.675 7.604 2.280
O 2.104 1.248 0.119
O 5.903 8.003 18.267
O 1.973 0.970 7.033
O 4.520 5.431 14.705
O 5.701 7.417 4.712
O 3.558 3.588 3.433
O 5.773 7.527 11.035
O 2.277 1.283 15.896
O 4.567 5.120 7.543
O 3.861 3.809 18.550
O 4.578 4.885 1.134
O 4.847 5.324 20.879
O 3.789 3.330 9.865
O 4.001 3.440 12.303
O 6.370 6.205 0.088
O 3.627 1.212 4.753
O 6.622 6.411 15.910
O 3.735 1.287 11.105
O 3.803 1.125 18.195
O 4.042 1.365 2.124
O 6.864 6.260 6.952
O 6.868 6.008 13.286
O 6.233 3.714 6.173
O 6.372 3.764 0.041
O 5.718 2.666 17.093
O 5.815 2.565 11.039
O 5.615 2.042 19.758
O 6.965 4.325 8.691
O 8.126 6.386 18.241
O 6.749 3.901 14.724
O 9.019 7.840 7.046
O 5.948 2.291 3.743
O 9.135 7.631 22.147
O 9.336 7.933 13.466
O 9.223 7.659 15.900
O 8.330 5.885 2.295
O 8.576 6.354 11.056
O 8.565 6.168 4.715
O 6.172 0.971 8.658
O 8.148 4.243 19.767
O 6.519 0.952 14.836
O 8.363 3.934 3.681
O 8.549 3.901 11.131
O 7.007 1.046 22.082
O 8.723 3.939 17.119
O 7.025 0.583 6.122
O 10.912 6.492 14.709
O 10.250 5.134 9.878
O 11.081 6.644 20.720
O 10.261 5.070 12.330
O 10.394 5.232 3.474
O 11.144 6.408 7.528
O 10.478 5.166 18.469
O 9.143 2.694 6.089
O 11.350 6.381 1.151
O 9.236 2.635 0.003
O 8.241 0.794 11.085
O 9.050 2.224 14.821
O 8.386 0.757 17.193
O 8.559 0.781 3.580
O 9.369 1.967 8.691
O 8.777 0.958 19.608
```

Summary:
M_tot ... 0.00 μB/f.u.
ΔE_f ... -2347 meV/atom